This record from the Materials Project database describes a relaxed AgAuO3 crystal. The functional is PBE.

Output
The corrected total energy (MP2020 scheme) is -4.549 eV per atom. As for the symmetry: Fd-3m (227). For the total energy, the calculation gives -4.137 eV per atom.

abc: 7.2859 7.2859 7.2859
angles: 60.00 60.00 60.00
Closest atoms and distances in Å follow each position.
Element x y z (fractional)
Ag1 0.0000 0.0000 0.0000  6 O 2.45
Ag2 0.0000 0.0000 0.5000  6 O 2.45
Ag3 0.0000 0.5000 0.0000  6 O 2.45
Ag4 0.5000 0.0000 0.0000  6 O 2.45
Au1 0.0000 0.5000 0.5000  6 O 2.05
Au2 0.5000 0.0000 0.5000  6 O 2.05
Au3 0.5000 0.5000 0.0000  6 O 2.05
Au4 0.5000 0.5000 0.5000  6 O 2.05
O1 0.1587 0.1587 0.5913  2 Au 2.05
O2 0.1587 0.5913 0.1587  2 Au 2.05
O3 0.1587 0.5913 0.5913  2 Au 2.05
O4 0.4087 0.4087 0.8413  2 Au 2.05
O5 0.4087 0.8413 0.4087  2 Au 2.05
O6 0.4087 0.8413 0.8413  2 Au 2.05
O7 0.5913 0.1587 0.1587  2 Au 2.05
O8 0.5913 0.1587 0.5913  2 Au 2.05
O9 0.5913 0.5913 0.1587  2 Au 2.05
O10 0.8413 0.4087 0.4087  2 Au 2.05
O11 0.8413 0.4087 0.8413  2 Au 2.05
O12 0.8413 0.8413 0.4087  2 Au 2.05